Record 1
Here is LiCrPO4 after structural relaxation from the Materials Project. Energies are from PBE+U.

crystal system = orthorhombic
volume = 11.35 Å³/atom
calculated density = 3.22 Mg/m³

The structure in POSCAR format:
```
LiCrPO4
1.0
5.774 0.000 0.000
0.000 7.782 0.000
0.000 0.000 14.146
Cr O P Li
8 32 8 8
direct
0.871 0.860 0.812
0.371 0.640 0.188
0.129 0.360 0.688
0.371 0.860 0.688
0.871 0.640 0.312
0.129 0.140 0.188
0.629 0.140 0.312
0.629 0.360 0.812
0.176 0.008 0.934
0.536 0.638 0.366
0.676 0.008 0.566
0.551 0.321 0.411
0.949 0.679 0.911
0.949 0.821 0.411
0.964 0.138 0.366
0.324 0.508 0.934
0.821 0.423 0.231
0.324 0.992 0.434
0.464 0.138 0.134
0.824 0.992 0.066
0.179 0.577 0.769
0.551 0.179 0.911
0.176 0.492 0.434
0.821 0.077 0.731
0.321 0.423 0.269
0.036 0.862 0.634
0.464 0.362 0.634
0.321 0.077 0.769
0.964 0.362 0.866
0.449 0.821 0.089
0.679 0.923 0.231
0.051 0.321 0.089
0.679 0.577 0.731
0.179 0.923 0.269
0.536 0.862 0.866
0.824 0.508 0.566
0.676 0.492 0.066
0.449 0.679 0.589
0.051 0.179 0.589
0.036 0.638 0.134
0.608 0.532 0.627
0.108 0.532 0.873
0.392 0.468 0.373
0.392 0.032 0.873
0.892 0.032 0.627
0.892 0.468 0.127
0.608 0.968 0.127
0.108 0.968 0.373
0.922 0.326 0.473
0.078 0.826 0.027
0.422 0.326 0.027
0.578 0.674 0.973
0.078 0.674 0.527
0.578 0.826 0.473
0.422 0.174 0.527
0.922 0.174 0.973
```

***

Record 2
Here is LiCrP4O12 after structural relaxation from the Materials Project. Energies are from PBE+U.

crystal system = monoclinic
volume = 12.93 Å³/atom
calculated density = 2.67 Mg/m³

The structure in POSCAR format:
```
LiCrP4O12
1.0
8.411 0.000 0.000
0.000 7.246 0.000
0.000 0.264 7.639
O Li Cr P
24 2 2 8
direct
0.694 0.273 0.054
0.036 0.447 0.455
0.586 0.561 0.168
0.219 0.165 0.624
0.898 0.062 0.196
0.162 0.709 0.626
0.686 0.926 0.002
0.186 0.074 0.998
0.536 0.553 0.545
0.277 0.617 0.337
0.017 0.784 0.341
0.777 0.383 0.663
0.398 0.938 0.804
0.406 0.868 0.128
0.517 0.216 0.659
0.906 0.132 0.872
0.411 0.271 0.191
0.911 0.729 0.809
0.919 0.052 0.520
0.194 0.727 0.946
0.419 0.948 0.480
0.662 0.291 0.374
0.086 0.439 0.832
0.719 0.835 0.376
0.197 0.269 0.145
0.697 0.731 0.855
0.492 0.736 0.336
0.992 0.264 0.664
0.124 0.629 0.438
0.072 0.648 0.808
0.875 0.934 0.371
0.293 0.915 0.983
0.624 0.371 0.562
0.572 0.352 0.192
0.375 0.066 0.629
0.793 0.085 0.017
```

***

Record 3
Here is LiCrPO4 after structural relaxation from the Materials Project. Energies are from PBE+U.

crystal system = monoclinic
volume = 10.93 Å³/atom
calculated density = 3.34 Mg/m³

The structure in POSCAR format:
```
LiCrPO4
1.0
-4.807 -0.454 -1.337
2.340 -6.864 -6.083
-0.878 -4.399 4.637
O Cr Li P
16 4 4 4
direct
0.200 0.860 0.250
0.027 0.859 0.750
0.136 0.362 0.053
0.199 0.140 0.750
0.136 0.638 0.947
0.635 0.138 0.550
0.527 0.359 0.750
0.135 0.638 0.550
0.134 0.362 0.450
0.635 0.862 0.450
0.637 0.862 0.053
0.699 0.360 0.250
0.527 0.641 0.250
0.700 0.640 0.750
0.027 0.141 0.250
0.636 0.138 0.947
0.005 0.000 0.500
0.504 0.500 0.500
0.007 0.000 0.000
0.505 0.500 0.000
0.023 0.328 0.751
0.524 0.828 0.751
0.524 0.172 0.249
0.023 0.672 0.249
0.500 0.188 0.749
0.500 0.812 0.251
0.000 0.689 0.749
0.000 0.311 0.251
```

***

Record 4
Here is Li2Cr3P4O14 after structural relaxation from the Materials Project. Energies are from PBE+U.

crystal system = triclinic
volume = 12.13 Å³/atom
calculated density = 3.08 Mg/m³

The structure in POSCAR format:
```
Li2Cr3P4O14
1.0
5.441 0.000 0.000
-2.035 6.142 0.000
-1.826 -1.315 16.691
P Li Cr O
8 4 6 28
direct
0.987 0.916 0.799
0.375 0.242 0.927
0.013 0.084 0.201
0.303 0.433 0.679
0.697 0.567 0.321
0.150 0.770 0.452
0.625 0.758 0.073
0.850 0.230 0.548
0.555 0.696 0.890
0.093 0.812 0.005
0.445 0.304 0.110
0.907 0.188 0.995
0.759 0.721 0.582
0.139 0.620 0.182
0.415 0.975 0.667
0.585 0.025 0.333
0.861 0.380 0.818
0.241 0.279 0.418
0.729 0.571 0.092
0.482 0.299 0.704
0.271 0.429 0.908
0.864 0.700 0.837
0.878 0.544 0.262
0.465 0.662 0.656
0.801 0.050 0.801
0.720 0.403 0.552
0.744 0.961 0.142
0.893 0.166 0.463
0.136 0.300 0.163
0.141 0.310 0.595
0.672 0.304 0.926
0.926 0.114 0.282
0.122 0.456 0.738
0.301 0.975 0.411
0.199 0.950 0.199
0.107 0.834 0.537
0.280 0.597 0.448
0.859 0.690 0.405
0.280 0.141 0.005
0.720 0.859 0.995
0.256 0.039 0.858
0.535 0.338 0.344
0.518 0.701 0.296
0.074 0.886 0.718
0.699 0.025 0.589
0.328 0.696 0.074
```

***

Number 1: total energy after the MP2020 corrections -0.28462 hartree per atom, formation energy -17.45 eV per formula unit, distance to the lowest polymorph of the same formula 0.0742 eV/atom. Number 2: total energy after the MP2020 corrections -0.28313 hartree per atom, formation energy -46.09 eV per formula unit, distance to the lowest polymorph of the same formula 0.0814 eV/atom. Number 3: total energy after the MP2020 corrections -0.28419 hartree per atom, formation energy -17.37 eV per formula unit, distance to the lowest polymorph of the same formula 0.0859 eV/atom. Number 4: total energy after the MP2020 corrections -0.29172 hartree per atom, formation energy -58.88 eV per formula unit, distance to the lowest polymorph of the same formula 0.0045 eV/atom.